(1)
Computed, not measured: a relaxed structure of Tl3B3S10 at the meta-GGA r2SCAN level of DFT.

Values from the calculation:
As for the raw total energy: -16.80 eV per atom. Its theoretical density is 4448 kg/m3. For the formation energy, the calculation gives -428 meV per atom.

Lattice parameters (Å, degrees): 6.905 7.830 13.838 103.62 93.76 95.08
Space group P-1 (No. 2)
Symmetry-distinct sites (fractional):
1 Tl 0.016 0.379 0.294
2 Tl 0.265 0.949 0.345
3 Tl 0.327 0.676 0.981
4 B 0.102 0.118 0.914
5 B 0.260 0.223 0.740
6 B 0.365 0.415 0.588
7 S 0.074 0.291 0.838
8 S 0.141 0.235 0.053
9 S 0.143 0.025 0.122
10 S 0.166 0.248 0.612
11 S 0.237 0.557 0.514
12 S 0.297 0.980 0.730
13 S 0.329 0.000 0.882
14 S 0.461 0.730 0.486
15 S 0.478 0.562 0.714
16 S 0.486 0.644 0.219

(2)
Computed, not measured: a relaxed structure of Sc3SnB at the meta-GGA r2SCAN level of DFT.

Values from the calculation:
As for the raw total energy: -13.93 eV per atom. Its theoretical density is 4355 kg/m3. For the formation energy, the calculation gives -676 meV per atom.

Lattice parameters (Å, degrees): 4.654 4.654 4.654 90.00 90.00 90.00
Space group Pm-3m (No. 221)
Symmetry-distinct sites (fractional):
1 Sc 0.000 0.000 0.500
2 Sn 0.500 0.500 0.500
3 B 0.000 0.000 0.000

(3)
Computed, not measured: a relaxed structure of Tl3BSe3 at the meta-GGA r2SCAN level of DFT.

Values from the calculation:
As for the raw total energy: -30.37 eV per atom. Its theoretical density is 7112 kg/m3. For the formation energy, the calculation gives -401 meV per atom.

Lattice parameters (Å, degrees): 5.685 10.337 6.901 90.00 97.55 90.00
Space group P2_1/m (No. 11)
Symmetry-distinct sites (fractional):
1 Tl 0.189 0.250 0.009
2 Tl 0.276 0.551 0.666
3 B 0.385 0.750 0.263
4 Se 0.241 0.586 0.171
5 Se 0.323 0.250 0.552

(4)
Computed, not measured: a relaxed structure of SiB3 at the meta-GGA r2SCAN level of DFT.

Values from the calculation:
As for the raw total energy: -7.75 eV per atom. Its theoretical density is 2469 kg/m3. For the formation energy, the calculation gives -44 meV per atom.

Lattice parameters (Å, degrees): 8.361 12.550 6.206 90.00 90.00 90.00
Space group Imma (No. 74)
Symmetry-distinct sites (fractional):
1 Si 0.000 0.155 0.003
2 Si 0.232 0.250 0.564
3 B 0.000 0.069 0.729
4 B 0.000 0.074 0.276
5 B 0.111 0.113 0.503
6 B 0.175 0.002 0.345

(5)
Computed, not measured: a relaxed structure of V5SiB2 at the meta-GGA r2SCAN level of DFT.

Values from the calculation:
As for the raw total energy: -12.48 eV per atom. Its theoretical density is 5692 kg/m3. For the formation energy, the calculation gives -742 meV per atom.

Lattice parameters (Å, degrees): 5.760 5.760 10.707 90.00 90.00 90.00
Space group I4/mcm (No. 140)
Symmetry-distinct sites (fractional):
1 V 0.000 0.000 0.000
2 V 0.170 0.330 0.137
3 Si 0.000 0.000 0.250
4 B 0.115 0.385 0.500

(6)
Computed, not measured: a relaxed structure of V10Si6B at the meta-GGA r2SCAN level of DFT.

Values from the calculation:
As for the raw total energy: -12.47 eV per atom. Its theoretical density is 5407 kg/m3. For the formation energy, the calculation gives -656 meV per atom.

Lattice parameters (Å, degrees): 7.1140 7.1140 4.8264 90.00 90.00 120.00
Space group P-31m (No. 162)
Symmetry-distinct sites (fractional):
1 V 0.0000 0.2444 0.2528
2 V 0.3333 0.6667 0.0000
3 V 0.3333 0.6667 0.5000
4 Si 0.0000 0.3983 0.7469
5 B 0.0000 0.0000 0.0000

no.,total magnetization (μB per atom)
1,0.000
2,0.000
3,0.000
4,0.000
5,0.000
6,0.000